Computed, not measured: a relaxed CaSn2O4 crystal at the GGA-PBE level of DFT.

Results
Spin magnetization in Bohr magnetons per cell: 0.0
Offset from the most stable computed form in kJ/mol of atoms: 3.06
MP2020-corrected energy in eV per atom: -6.539

a = 11.7538 Å, b = 6.4309 Å, c = 24.5645 Å
α = 90.00°, β = 103.09°, γ = 90.00°
With the nearest neighbours (Å) after each atom.
Space group Cm (No. 8)
Asymmetric unit:
Ca: 0.0000 0.0000 0.0000 (multiplicity 2)  6 O 2.31-2.43
Ca: 0.0009 0.5000 0.5009 (multiplicity 2)  6 O 2.30-2.41
Ca: 0.0307 0.0000 0.5938 (multiplicity 2)  3 O 2.26-2.50
Ca: 0.1284 0.0000 0.8757 (multiplicity 2)  6 O 2.37-2.47
Ca: 0.2433 0.5000 0.2485 (multiplicity 2)  6 O 2.31-2.41
Ca: 0.2567 0.0000 0.7525 (multiplicity 2)  6 O 2.32-2.40
Ca: 0.2752 0.0000 0.3456 (multiplicity 2)  3 O 2.25-2.45
Ca: 0.3736 0.5000 0.1248 (multiplicity 2)  6 O 2.41-2.47
Sn: 0.0059 0.2494 0.7502 (multiplicity 4)  6 O 2.10-2.19
Sn: 0.0274 0.5000 0.0917 (multiplicity 2)  2 O 2.14
Sn: 0.1185 0.5000 0.3656 (multiplicity 2)  3 O 2.24-2.32
Sn: 0.2179 0.0000 0.1577 (multiplicity 2)  2 O 2.15
Sn: 0.2257 0.5000 0.6641 (multiplicity 2)  3 O 2.09-2.34
Sn: 0.2501 0.2498 0.0005 (multiplicity 4)  6 O 2.10-2.15
Sn: 0.2500 0.2510 0.4994 (multiplicity 4)  6 O 2.07-2.19
Sn: 0.2810 0.5000 0.8401 (multiplicity 2)  2 O 2.13
Sn: 0.3754 0.0000 0.6167 (multiplicity 2)  3 O 2.24-2.28
Sn: 0.4700 0.5000 0.4131 (multiplicity 2)  3 O 2.09-2.32
Sn: 0.4738 0.0000 0.9083 (multiplicity 2)  2 O 2.15
Sn: 0.4936 0.2520 0.2496 (multiplicity 4)  6 O 2.08-2.22
O: 0.0445 0.5000 0.2072 (multiplicity 2)  2 Sn 2.08, 1 Ca 2.33
O: 0.0452 0.0000 0.2022 (multiplicity 2)  2 Sn 2.14
O: 0.0574 0.0000 0.7001 (multiplicity 2)  2 Sn 2.19, 1 Ca 2.40
O: 0.0680 0.5000 0.7073 (multiplicity 2)  3 Sn 2.14-2.34
O: 0.0767 0.2401 0.4527 (multiplicity 4)  2 Sn 2.09-2.10
O: 0.0817 0.2440 0.9450 (multiplicity 4)  2 Sn 2.13-2.15
O: 0.1613 0.2649 0.3059 (multiplicity 4)  2 Sn 2.14-2.24, 1 Ca 2.25
O: 0.1737 0.2410 0.8073 (multiplicity 4)  2 Sn 2.13-2.15
O: 0.1973 0.0000 0.0445 (multiplicity 2)  2 Sn 2.11, 1 Ca 2.33
O: 0.1976 0.5000 0.5415 (multiplicity 2)  2 Sn 2.07, 1 Ca 2.30
O: 0.2025 0.5000 0.0492 (multiplicity 2)  2 Sn 2.15, 1 Ca 2.41
O: 0.2039 0.0000 0.5508 (multiplicity 2)  3 Sn 2.19-2.28
O: 0.2989 0.0000 0.9530 (multiplicity 2)  2 Sn 2.14
O: 0.2997 0.0000 0.4502 (multiplicity 2)  2 Sn 2.17, 1 Ca 2.41
O: 0.3033 0.5000 0.9574 (multiplicity 2)  2 Sn 2.10, 1 Ca 2.31
O: 0.3128 0.5000 0.4558 (multiplicity 2)  3 Sn 2.15-2.32
O: 0.3264 0.2557 0.1938 (multiplicity 4)  2 Sn 2.13-2.15
O: 0.3318 0.2572 0.7033 (multiplicity 4)  2 Sn 2.09-2.11, 1 Ca 2.34
O: 0.4160 0.2323 0.5556 (multiplicity 4)  2 Sn 2.12-2.24, 2 Ca 2.26-2.38
O: 0.4193 0.2562 0.0569 (multiplicity 4)  2 Sn 2.14-2.15
O: 0.4396 0.5000 0.2921 (multiplicity 2)  2 Sn 2.08, 1 Ca 2.31
O: 0.4414 0.0000 0.3005 (multiplicity 2)  3 Sn 2.22-2.32, 1 Ca 2.45
O: 0.4547 0.0000 0.7940 (multiplicity 2)  2 Sn 2.10, 1 Ca 2.32
O: 0.4654 0.5000 0.7989 (multiplicity 2)  2 Sn 2.12, 1 Ca 2.37